No. 1
{"formula": "NbFeO4", "functional": "PBE with a Hubbard U", "state": "relaxed", "lattice": [[3.1497, 1.0310, 3.1635], [0.6048, -4.9261, 0.7835], [3.9840, -0.1348, -3.9227]], "species": ["O", "O", "O", "O", "O", "O", "O", "O", "Fe", "Fe", "Nb", "Nb"], "fractional_positions": [[0.7688, 0.9158, 0.8831], [0.2763, 0.0750, 0.6130], [0.7237, 0.4250, 0.6130], [0.2312, 0.0842, 0.1169], [0.7688, 0.4158, 0.1169], [0.7237, 0.9250, 0.3870], [0.2312, 0.5842, 0.8831], [0.2763, 0.5750, 0.3870], [0.5000, 0.2500, 0.3557], [0.5000, 0.7500, 0.6443], [0.0000, 0.2500, 0.8199], [0.0000, 0.7500, 0.1801]], "ef_ev_per_fu": -14.59, "energy_ev_per_atom": -7.991}

No. 2
{"formula": "NbFeO4", "functional": "PBE with a Hubbard U", "state": "relaxed", "lattice": [[5.6934, 0.0000, 0.0000], [0.0000, 4.7138, 0.0000], [0.0000, 0.0466, 10.1606]], "species": ["Nb", "Nb", "Nb", "Nb", "O", "O", "O", "O", "O", "O", "O", "O", "O", "O", "O", "O", "O", "O", "O", "O", "Fe", "Fe", "Fe", "Fe"], "fractional_positions": [[0.8313, 0.0051, 0.2448], [0.8313, 0.9949, 0.7552], [0.6591, 0.5000, 0.5000], [0.1888, 0.0000, 0.0000], [0.6219, 0.2708, 0.8338], [0.8857, 0.2272, 0.0847], [0.3890, 0.2782, 0.5835], [0.3848, 0.7296, 0.9156], [0.1105, 0.2172, 0.3322], [0.3890, 0.7218, 0.4165], [0.6219, 0.7292, 0.1662], [0.8794, 0.7667, 0.4143], [0.6156, 0.2666, 0.3341], [0.1105, 0.7828, 0.6678], [0.8857, 0.7728, 0.9153], [0.8794, 0.2333, 0.5857], [0.6156, 0.7334, 0.6659], [0.3848, 0.2704, 0.0844], [0.1158, 0.2264, 0.8383], [0.1158, 0.7736, 0.1617], [0.1732, 0.0000, 0.5000], [0.3256, 0.5023, 0.7454], [0.3256, 0.4977, 0.2546], [0.6593, 0.5000, 0.0000]], "ef_ev_per_fu": -14.68, "energy_ev_per_atom": -8.006}

No. 3
{"formula": "NbFeO4", "functional": "PBE with a Hubbard U", "state": "relaxed", "lattice": [[-5.1985, -1.9135, -0.0457], [-1.6523, 4.5531, -2.6877], [0.0521, -0.0043, -5.7476]], "species": ["Nb", "Nb", "Fe", "Fe", "O", "O", "O", "O", "O", "O", "O", "O"], "fractional_positions": [[0.0000, 0.0000, 0.0000], [0.5000, 0.5000, 0.0000], [0.2500, 0.0000, 0.5000], [0.7500, 0.5000, 0.5000], [0.5000, 0.7006, 0.5987], [0.0000, 0.7994, 0.4013], [0.5000, 0.2994, 0.4013], [0.2500, 0.7900, 0.9199], [0.7500, 0.7100, 0.0801], [0.0000, 0.2006, 0.5987], [0.7500, 0.2900, 0.9199], [0.2500, 0.2100, 0.0801]], "piezo_max_c_m2": 2.73, "ef_ev_per_fu": -14.75, "energy_ev_per_atom": -8.018}

Question: What is the formula in the first record?
Answer: NbFeO4